# Li2Cu2P4O13

A relaxed Li2Cu2P4O13 crystal (PBE, Materials Project).

The structure in extended XYZ format:
```
42
Lattice="-8.274 0.592 1.671 -0.770 -3.993 -2.397 1.348 -7.196 9.225" Properties=species:S:1:pos:R:3 pbc="T T T"
O -7.150 -8.324 6.298
O -5.419 -7.663 8.021
O -3.295 -6.338 3.202
O -6.123 -5.187 3.655
O -1.728 -7.944 4.969
O -5.967 -2.653 3.529
O -1.951 -4.302 2.579
O -3.100 -2.091 2.716
O -5.145 -4.131 1.580
O -4.595 -8.507 5.783
O -3.490 -0.705 0.186
O -1.572 -5.410 4.844
O -1.339 -9.294 7.377
O -6.934 -4.078 5.808
O -0.762 -6.519 2.690
O -6.357 -1.303 1.121
O -2.277 -2.935 0.477
O -6.718 -9.713 8.820
O -4.206 -9.893 8.312
O -0.546 -2.273 2.200
O -4.400 -4.259 5.296
O -2.551 -6.467 6.918
O -0.978 -0.884 -0.321
O -7.672 -3.950 2.091
O -0.023 -6.648 6.408
O -5.745 -6.295 5.920
Cu -8.658 -4.264 0.450
Cu 0.963 -6.334 8.048
Cu -2.774 -6.066 8.803
Cu -4.922 -4.531 -0.304
P -1.950 -2.844 2.063
P -5.745 -7.753 6.435
P -2.373 -1.596 -0.471
P -1.461 -6.765 5.877
P -5.783 -4.830 5.213
P -6.235 -3.833 2.621
P -1.913 -5.767 3.285
P -5.323 -9.001 8.970
Li -4.894 -6.378 2.108
Li -8.005 -6.155 2.736
Li -2.802 -4.219 6.390
Li 0.309 -4.442 5.762
```

Crystal system: monoclinic
Total DFT energy (no corrections): -6.5439 eV per atom

# NaCaNbSnO6

A relaxed NaCaNbSnO6 crystal (PBE, Materials Project).

The structure in extended XYZ format:
```
10
Lattice="0.000 -4.038 -4.038 4.038 0.000 -4.038 4.038 -4.038 0.000" Properties=species:S:1:pos:R:3 pbc="T T T"
Ca 2.019 -2.019 -2.019
O 4.038 -6.084 -4.038
O 4.038 -4.038 -1.992
O 1.992 -4.038 -4.038
O 4.038 -4.038 -6.084
O 4.038 -1.992 -4.038
O 6.084 -4.038 -4.038
Nb 0.000 0.000 0.000
Sn 4.038 -4.038 -4.038
Na 6.057 -6.057 -6.057
```

Crystal system: cubic
Total DFT energy (no corrections): -6.9563 eV per atom

# NdTiFe11N

A relaxed NdTiFe11N crystal (PBE, Materials Project).

The structure in extended XYZ format:
```
14
Lattice="0.000 0.000 4.904 -4.300 4.269 2.452 -4.300 -4.269 -2.452" Properties=species:S:1:pos:R:3 pbc="T T T"
Fe -4.300 -2.359 0.000
Fe -3.103 0.001 4.904
Fe -4.300 1.201 2.452
Fe -1.918 0.024 2.452
Fe -2.168 2.129 3.675
Fe -6.432 2.129 3.675
Fe -4.300 2.337 4.904
Fe -5.497 0.001 4.904
Fe -6.681 0.024 2.452
Fe -6.432 2.129 1.229
Fe -2.168 2.129 1.229
Nd -4.300 4.215 2.452
Ti -4.300 -1.143 2.452
N -4.300 4.260 4.904
```

Crystal system: orthorhombic
Total DFT energy (no corrections): -8.2887 eV per atom

# Mg6ZrSb

A relaxed Mg6ZrSb crystal (PBE, Materials Project).

The structure in extended XYZ format:
```
16
Lattice="5.306 0.000 0.000 0.000 6.074 0.000 0.000 0.000 11.245" Properties=species:S:1:pos:R:3 pbc="T T T"
Sb 2.653 0.000 7.504
Sb 2.653 3.037 1.881
Mg 0.000 3.037 9.347
Mg 0.000 1.555 6.526
Mg 0.000 0.000 9.393
Mg 2.653 4.543 10.319
Mg 0.000 4.519 6.526
Mg 0.000 1.482 0.903
Mg 2.653 4.568 4.696
Mg 0.000 4.592 0.903
Mg 0.000 0.000 3.725
Mg 2.653 1.506 4.696
Mg 2.653 1.531 10.319
Mg 0.000 3.037 3.770
Zr 2.653 0.000 1.914
Zr 2.653 3.037 7.536
```

Total DFT energy (no corrections): -2.8434 eV per atom

# Hf3MgP2S4O24

A relaxed Hf3MgP2S4O24 crystal (PBE, Materials Project).

The structure in extended XYZ format:
```
102
Lattice="-1.321 4.370 7.569 -3.388 -8.107 -1.080 19.039 -9.097 8.590" Properties=species:S:1:pos:R:3 pbc="T T T"
O 14.567 -11.271 7.851
O 9.036 -8.594 5.422
O -0.298 -1.567 7.257
O 0.251 -8.889 1.988
O 1.336 0.540 5.871
O 8.082 -8.201 8.124
O 11.865 -11.837 6.938
O 4.800 -5.698 5.349
O -2.201 -5.499 3.582
O 6.246 -4.677 6.986
O 6.845 -4.575 4.643
O 3.314 -8.122 5.978
O 4.621 -7.910 3.390
O 6.379 -9.216 4.444
O 15.293 -7.562 14.108
O 6.828 -2.164 8.333
O 7.935 -3.609 10.571
O 4.943 -10.268 2.820
O 3.162 -5.435 2.913
O 15.249 -14.315 9.725
O -1.081 -0.700 3.426
O -2.224 -3.049 7.307
O -0.072 -5.004 6.808
O 10.854 -11.376 9.666
O 7.351 -6.182 9.236
O 12.345 -7.229 7.110
O 1.997 -5.586 7.955
O 3.864 0.031 9.761
O 13.721 -15.386 8.051
O 1.871 -5.615 5.541
O 5.414 -8.765 7.158
O 8.982 -4.093 7.849
O 11.057 -4.667 9.012
O 15.053 -9.722 12.271
O 5.406 -2.077 4.139
O 15.403 -12.148 11.655
O 9.540 -7.170 9.721
O 1.864 -3.517 6.725
O -2.367 -0.982 6.091
O 0.936 -1.389 2.099
O 5.214 -4.224 9.694
O 9.418 -2.535 12.299
O 8.939 -10.745 10.954
O 10.930 -4.694 6.591
O 0.597 2.562 6.988
O 7.516 -10.718 6.693
O 14.085 -3.927 13.074
O 7.494 -8.253 10.450
O 3.462 -1.402 5.420
O 10.447 -12.892 5.314
O 2.401 -1.004 8.126
O 16.700 -11.884 9.052
O 12.673 -4.976 11.427
O -0.733 -3.102 2.790
O 0.757 -2.056 4.534
O -0.932 -5.339 0.936
O 11.286 -9.486 13.395
O 13.581 -10.785 10.547
O 12.450 -9.295 8.325
O 9.768 -4.957 11.686
O 12.434 -7.199 9.539
O 11.180 -7.416 12.173
O 3.022 -3.349 1.700
O 16.507 -7.343 11.548
O 1.664 -7.852 3.612
O 14.381 -7.839 8.258
O -0.852 1.521 5.387
O 12.981 -13.301 9.212
O 13.394 -11.445 12.956
O 3.385 -8.096 8.539
O 16.541 -9.748 7.761
O 6.970 -6.662 5.844
Hf 12.803 -11.358 8.786
Hf 2.724 -1.340 1.278
Hf 3.146 -6.789 4.502
Hf 7.216 -8.676 6.292
Hf 16.354 -7.813 7.384
Hf 10.919 -1.531 13.085
Hf 7.075 -4.037 8.833
Hf 16.610 -8.696 13.020
Hf -2.261 -4.103 1.997
S 10.472 -4.033 7.851
S -1.741 -1.631 7.275
S 5.577 -9.032 3.192
S 6.217 -5.370 5.667
S 2.492 -0.270 9.372
S 8.152 -7.420 9.395
S 4.378 -1.066 4.355
S 0.580 1.761 5.720
S 13.326 -3.747 11.812
S 12.900 -7.880 8.353
S 1.425 -4.893 6.808
S 10.554 -8.202 13.213
P -0.009 -1.819 3.272
P 3.859 -8.763 7.290
P 14.378 -11.027 11.850
P 8.741 -3.885 11.884
P 16.117 -11.229 7.795
P 13.793 -14.611 9.380
Mg 1.560 -1.531 6.257
Mg 11.062 -6.030 10.647
Mg 2.036 -6.983 9.478
```

Crystal system: triclinic
Total DFT energy (no corrections): -7.4885 eV per atom

# LiSnP4O12

A relaxed LiSnP4O12 crystal (PBE, Materials Project).

The structure in extended XYZ format:
```
36
Lattice="3.581 8.194 0.000 -3.581 8.194 0.000 0.000 5.625 7.802" Properties=species:S:1:pos:R:3 pbc="T T T"
O 0.919 9.766 5.699
O -0.807 7.584 7.644
O 0.093 12.490 4.456
O -0.550 16.993 6.589
O -0.093 9.523 3.346
O 0.807 4.772 3.743
O 1.545 11.824 2.418
O 0.919 15.060 6.004
O 2.961 13.702 6.070
O -0.093 9.678 0.555
O -1.545 10.190 5.384
O 2.961 11.124 5.633
O -0.807 17.242 4.060
O 0.807 14.430 0.159
O -0.919 12.248 2.103
O -1.545 14.636 6.319
O -2.961 8.312 1.732
O 1.545 7.377 1.483
O -2.961 10.890 2.169
O -0.919 6.953 1.798
O -0.550 7.833 5.114
O 0.550 5.021 1.213
O 0.550 14.181 2.688
O 0.093 12.336 7.247
P -0.382 9.419 4.820
P 2.506 15.115 6.313
P 2.506 9.711 5.391
P -0.382 15.407 6.883
P -2.506 12.303 2.412
P 0.382 6.607 0.919
P -2.506 6.899 1.489
P 0.382 12.595 2.982
Li 1.463 12.413 5.852
Li -1.463 9.601 1.951
Sn -2.191 12.413 5.852
Sn 2.191 9.601 1.951
```

ΔE to the lowest computed polymorph: 9.8 meV per atom
Crystal system: monoclinic
Total DFT energy (no corrections): -6.8646 eV per atom

# CaSn2O5

A relaxed CaSn2O5 crystal (PBE, Materials Project).

The structure in extended XYZ format:
```
16
Lattice="-3.216 1.646 0.192 0.163 -0.321 5.465 5.699 11.079 0.481" Properties=species:S:1:pos:R:3 pbc="T T T"
Sn 0.986 1.345 4.988
Sn 0.418 4.697 0.813
Sn 5.005 9.157 5.327
Sn 2.098 7.963 0.955
O 5.149 9.656 3.458
O 0.674 4.975 2.716
O 1.392 6.066 5.376
O 4.033 7.248 5.414
O -0.564 2.808 0.562
O 3.070 9.872 0.868
O 0.013 -0.025 0.426
O 1.968 3.233 5.240
O 1.954 7.464 2.824
O 0.730 1.067 3.086
Ca -1.543 0.696 2.259
Ca 2.948 5.345 3.542
```

ΔE to the lowest computed polymorph: 130.7 meV per atom
Crystal system: orthorhombic
Total DFT energy (no corrections): -6.1904 eV per atom

# AlCu3

A relaxed AlCu3 crystal (PBE, Materials Project).

The structure in extended XYZ format:
```
8
Lattice="-3.282 -0.436 -2.649 -2.378 -2.000 3.275 -1.821 4.615 1.496" Properties=species:S:1:pos:R:3 pbc="T T T"
Cu -4.078 -0.738 1.780
Cu -2.431 -0.883 -0.236
Cu -0.851 0.827 0.918
Cu -4.992 1.579 2.531
Cu -1.758 3.125 1.664
Cu -2.498 0.972 2.934
Al -1.585 -1.333 2.183
Al -3.344 1.422 0.516
```

Crystal system: orthorhombic
Total DFT energy (no corrections): -4.2003 eV per atom

# ZnCr4CuSe8

A relaxed ZnCr4CuSe8 crystal (PBE, Materials Project).

The structure in extended XYZ format:
```
14
Lattice="0.000 5.255 5.255 5.255 0.000 5.255 5.255 5.255 0.000" Properties=species:S:1:pos:R:3 pbc="T T T"
Se 6.677 6.677 3.834
Se 9.282 6.483 6.483
Se 3.834 6.677 6.677
Se 9.282 9.282 9.282
Se 6.483 9.282 6.483
Se 6.677 3.834 6.677
Se 6.483 6.483 9.282
Se 3.834 3.834 3.834
Cr 3.960 1.295 3.960
Cr 1.295 3.960 3.960
Cr 1.295 1.295 1.295
Cr 3.960 3.960 1.295
Zn 5.255 5.255 5.255
Cu 7.883 7.883 7.883
```

Crystal system: cubic
Total DFT energy (no corrections): -5.6728 eV per atom

# La4Te3N2

A relaxed La4Te3N2 crystal (PBE, Materials Project).

The structure in extended XYZ format:
```
36
Lattice="-6.050 1.022 4.357 -4.346 -10.245 -3.631 5.515 -5.512 8.951" Properties=species:S:1:pos:R:3 pbc="T T T"
Te -2.682 -5.485 4.931
Te -2.463 -9.188 -0.204
Te 0.430 -6.477 7.554
Te -0.568 -1.746 0.491
Te -2.417 -5.547 9.881
Te -4.312 -12.989 9.187
Te 1.338 -3.650 3.584
Te -2.198 -9.250 4.746
Te -0.292 -11.155 7.839
Te -4.588 -3.580 1.838
Te -6.218 -11.084 6.093
Te -5.310 -8.258 2.123
La -5.729 -9.042 -1.248
La 0.734 -10.791 4.711
La 0.849 -5.692 10.926
La -2.288 -8.212 8.161
La 0.445 -6.886 4.147
La -7.530 -5.646 1.953
La -7.532 -10.526 2.095
La -5.325 -7.849 5.531
La -3.084 -12.151 6.226
La -1.796 -2.584 3.452
La 2.650 -9.089 7.725
La -1.356 -3.489 7.348
La 2.652 -4.209 7.582
La -3.524 -11.245 2.330
La -5.614 -3.944 4.967
La -2.592 -6.522 1.517
N -3.196 -9.344 10.042
N -3.464 -12.869 3.999
N -4.611 -7.931 7.747
N -2.050 -14.283 6.295
N -1.684 -5.391 -0.365
N -0.269 -6.804 1.931
N -2.830 -0.452 3.383
N -1.416 -1.865 5.679
```

Crystal system: orthorhombic
Total DFT energy (no corrections): -6.7527 eV per atom

# BaAlF5

A relaxed BaAlF5 crystal (PBE, Materials Project).

The structure in extended XYZ format:
```
28
Lattice="-4.542 0.601 -2.220 -0.850 -5.614 0.220 -5.942 1.392 12.534" Properties=species:S:1:pos:R:3 pbc="T T T"
F -4.091 0.210 0.220
F -6.097 -1.131 5.423
F -0.328 -0.915 0.014
F -6.865 -3.780 2.212
F -4.871 -2.808 -1.562
F -8.418 -1.247 6.518
F -5.817 -3.690 5.473
F -6.391 -1.081 10.413
F -8.453 -3.414 11.441
F -6.493 -2.438 7.651
F -7.896 -2.480 4.217
F -8.216 -3.835 6.466
F -3.745 0.598 3.293
F -1.673 -1.695 2.100
F -6.283 -4.294 10.385
F -7.637 0.669 9.105
F -8.628 -0.157 11.364
F -4.222 -2.300 0.872
F -3.247 0.109 5.765
F -3.970 -2.537 3.969
Al -6.960 0.579 10.802
Al -4.474 -1.324 -0.635
Al -4.048 -4.045 4.943
Al -7.187 -2.453 5.958
Ba -5.817 -0.964 2.708
Ba -8.924 -2.091 9.113
Ba -5.229 0.168 7.648
Ba -2.698 -4.356 1.598
```

ΔE to the lowest computed polymorph: 0.0 meV per atom
Crystal system: orthorhombic
Total DFT energy (no corrections): -5.8903 eV per atom

# LiCu6OF11

A relaxed LiCu6OF11 crystal (PBE, Materials Project).

The structure in extended XYZ format:
```
19
Lattice="2.507 -3.362 -3.834 1.603 -2.332 3.850 -6.864 -4.641 -1.135" Properties=species:S:1:pos:R:3 pbc="T T T"
Cu 0.279 -4.973 2.054
Cu -5.083 -6.832 2.641
Cu 1.996 -2.886 -0.097
Cu 0.307 -5.590 -0.675
Cu -3.279 -4.823 0.454
Cu -1.412 -7.757 0.478
F -4.366 -6.364 0.937
F -0.716 -4.532 -2.135
F -0.442 -3.237 2.697
F -2.352 -7.189 -3.746
F 0.370 -1.791 -0.370
F 1.915 -3.723 -2.244
F -1.680 -5.853 0.817
F -0.612 -7.195 -1.206
F -2.122 -3.340 -0.121
F -3.795 -5.930 -1.706
F -3.146 -8.381 -0.871
Li 0.873 -4.990 -3.185
O 1.016 -4.367 0.469
```

ΔE to the lowest computed polymorph: 0.0 meV per atom
Crystal system: triclinic
Total DFT energy (no corrections): -4.2632 eV per atom

no.,DFT formation energy (eV/atom)
1,-2.303
2,-2.656
3,-0.159
4,-0.083
5,-2.750
6,-2.492
7,-2.274
8,-0.189
9,-0.804
10,-1.739
11,-4.044
12,-1.803